Density functional theory data (GGA+U) for a relaxed Na3FeO4 crystal.

Output
As for the symmetry: No. 62. The calculation puts the calculated density at 2.92 g cm⁻³. For the energy relative to the elements, the calculation gives -1.486 eV per atom.

Unit cell a=7.0279 b=7.4457 c=8.2115 alpha=90.00 beta=90.00 gamma=90.00
Fractional coordinates of all 32 atoms:
Na 0.0434 0.2701 0.0369
Na 0.0434 0.2701 0.4631
Na 0.1718 0.0486 0.7500
Na 0.3282 0.5486 0.2500
Na 0.4566 0.7701 0.5369
Na 0.4566 0.7701 0.9631
Na 0.5434 0.2299 0.0369
Na 0.5434 0.2299 0.4631
Na 0.6718 0.4514 0.7500
Na 0.8282 0.9514 0.2500
Na 0.9566 0.7299 0.5369
Na 0.9566 0.7299 0.9631
Fe 0.2167 0.5032 0.7500
Fe 0.2833 0.0032 0.2500
Fe 0.7167 0.9968 0.7500
Fe 0.7833 0.4968 0.2500
O 0.0001 0.3878 0.7500
O 0.1796 0.9548 0.0619
O 0.1796 0.9548 0.4381
O 0.1986 0.7391 0.7500
O 0.3014 0.2391 0.2500
O 0.3204 0.4548 0.5619
O 0.3204 0.4548 0.9381
O 0.4999 0.8878 0.2500
O 0.5001 0.1122 0.7500
O 0.6796 0.5452 0.0619
O 0.6796 0.5452 0.4381
O 0.6986 0.7609 0.7500
O 0.8014 0.2609 0.2500
O 0.8204 0.0452 0.5619
O 0.8204 0.0452 0.9381
O 0.9999 0.6122 0.2500


Density functional theory data (GGA+U) for a relaxed Na14Fe2O9 crystal.

Output
The calculation puts the calculated density at 2.62 g cm⁻³. For the energy relative to the elements, the calculation gives -1.473 eV per atom.

Unit cell a=6.7218 b=9.4256 c=11.5724 alpha=89.34 beta=89.62 gamma=90.25
Fractional coordinates of all 50 atoms:
Na 0.4995 0.2520 0.4998
Na 0.9996 0.2520 0.9999
Na 0.5002 0.7481 0.4998
Na 0.0002 0.7481 0.9999
Na 0.6601 0.9083 0.0202
Na 0.1602 0.9083 0.5201
Na 0.1996 0.9076 0.1613
Na 0.6996 0.9075 0.6613
Na 0.6428 0.9079 0.3198
Na 0.1426 0.9079 0.8198
Na 0.8605 0.0913 0.1807
Na 0.3607 0.0913 0.6807
Na 0.3020 0.0923 0.3389
Na 0.8019 0.0922 0.8390
Na 0.8414 0.0926 0.4808
Na 0.3414 0.0926 0.9807
Na 0.7772 0.5904 0.1546
Na 0.2772 0.5905 0.6546
Na 0.3440 0.5927 0.0308
Na 0.8441 0.5928 0.5307
Na 0.1209 0.4084 0.1880
Na 0.6206 0.4085 0.6880
Na 0.3763 0.5926 0.3120
Na 0.8766 0.5925 0.8120
Na 0.1551 0.4073 0.4691
Na 0.6550 0.4072 0.9692
Na 0.7207 0.4085 0.3443
Na 0.2206 0.4084 0.8442
Fe 0.9979 0.2595 0.6678
Fe 0.5013 0.7404 0.8316
Fe 0.4984 0.2594 0.1681
Fe 0.0006 0.7403 0.3316
O 0.0013 0.0000 0.0000
O 0.5013 0.0000 0.5002
O 0.5027 0.0412 0.1652
O 0.0032 0.0411 0.6655
O 0.0012 0.9589 0.3358
O 0.5007 0.9589 0.8357
O 0.7935 0.3346 0.1533
O 0.2940 0.3343 0.6532
O 0.3291 0.3367 0.0281
O 0.8294 0.3370 0.5285
O 0.1218 0.6610 0.1800
O 0.6221 0.6608 0.6803
O 0.3749 0.3396 0.3192
O 0.8744 0.3394 0.8190
O 0.1694 0.6650 0.4728
O 0.6694 0.6649 0.9724
O 0.7067 0.6635 0.3456
O 0.2061 0.6638 0.8455


Density functional theory data (GGA+U) for a relaxed NaFe3O4 crystal.

Output
As for the symmetry: No. 160. The calculation puts the calculated density at 4.86 g cm⁻³. For the energy relative to the elements, the calculation gives -1.485 eV per atom.

Unit cell a=3.1217 b=3.1217 c=10.4548 alpha=81.41 beta=81.41 gamma=60.00
Fractional coordinates of all 8 atoms:
Na 0.1230 0.1230 0.6309
Fe 0.3769 0.3769 0.8694
Fe 0.6258 0.6258 0.1227
Fe 0.8771 0.8771 0.3688
O 0.2513 0.2513 0.2460
O 0.7412 0.7412 0.7764
O 0.9928 0.9928 0.0215
O 0.5119 0.5119 0.4642


Density functional theory data (GGA+U) for a relaxed NaFe12O19 crystal.

Output
As for the symmetry: No. 1. The calculation puts the calculated density at 4.61 g cm⁻³. For the energy relative to the elements, the calculation gives -1.591 eV per atom.

Unit cell a=5.9799 b=5.9928 c=23.1742 alpha=90.14 beta=89.84 gamma=120.04
Fractional coordinates of all 64 atoms:
Na 0.3325 0.6708 0.7498
Na 0.6712 0.3312 0.2500
Fe 0.1691 0.8322 0.8905
Fe 0.1680 0.8313 0.6101
Fe 0.3330 0.6666 0.1906
Fe 0.3337 0.6670 0.0290
Fe 0.3327 0.6657 0.3084
Fe 0.0003 0.0005 0.0001
Fe 0.9995 0.9992 0.2501
Fe 0.9993 0.9999 0.4998
Fe 0.1679 0.3364 0.6101
Fe 0.3324 0.6661 0.4714
Fe 0.0002 0.0001 0.7523
Fe 0.1698 0.3386 0.8907
Fe 0.6632 0.8316 0.8908
Fe 0.6625 0.8307 0.6100
Fe 0.3376 0.1689 0.1099
Fe 0.3367 0.1678 0.3897
Fe 0.8318 0.6633 0.1098
Fe 0.6661 0.3319 0.6916
Fe 0.6680 0.3354 0.8090
Fe 0.8306 0.6618 0.3898
Fe 0.6675 0.3333 0.9713
Fe 0.6660 0.3331 0.5284
Fe 0.8319 0.1691 0.1096
Fe 0.8310 0.1676 0.3898
O 0.1553 0.8455 0.0532
O 0.1540 0.8444 0.4462
O 0.9950 0.4971 0.3491
O 0.0078 0.5052 0.8503
O 0.9954 0.4977 0.1498
O 0.0041 0.5016 0.6505
O 0.1831 0.8151 0.2497
O 0.3343 0.6667 0.9455
O 0.3326 0.6667 0.5550
O 0.9999 0.0001 0.1529
O 0.1546 0.3099 0.0534
O 0.9994 0.9993 0.3460
O 0.9994 0.9992 0.6527
O 0.1814 0.3682 0.2496
O 0.0011 0.0010 0.8473
O 0.1548 0.3096 0.4460
O 0.6299 0.8157 0.2497
O 0.3092 0.1550 0.5530
O 0.3098 0.1572 0.9473
O 0.5027 0.4963 0.3487
O 0.5033 0.4971 0.1501
O 0.4978 0.5051 0.8499
O 0.4968 0.5012 0.6504
O 0.6894 0.8438 0.4461
O 0.6907 0.8465 0.0534
O 0.3682 0.1798 0.7505
O 0.5030 0.0055 0.1500
O 0.5020 0.0039 0.3491
O 0.4973 0.9944 0.6505
O 0.8448 0.6911 0.9473
O 0.4991 0.9979 0.8511
O 0.6661 0.3320 0.4443
O 0.6673 0.3336 0.0551
O 0.8442 0.6896 0.5530
O 0.8155 0.6321 0.7505
O 0.8178 0.1840 0.7504
O 0.8445 0.1550 0.5528
O 0.8461 0.1560 0.9470